PBE UGePd, relaxed; volume = 58.3 Å³/f.u.; energy relative to the elements = -0.461 eV per atom; calculated density = 11.88 g/cm3; final energy = -89.9 eV/cell
1.0
4.516 0.000 0.000
0.000 6.693 0.000
0.000 0.000 7.717
U Ge Pd
4 4 4
direct
0.250 0.996 0.783
0.250 0.496 0.717
0.750 0.004 0.217
0.750 0.504 0.283
0.250 0.785 0.412
0.250 0.285 0.088
0.750 0.215 0.588
0.750 0.715 0.912
0.250 0.198 0.419
0.250 0.698 0.081
0.750 0.802 0.581
0.750 0.302 0.919

PBE SmClO2, relaxed; volume = 72.5 Å³/f.u.; energy relative to the elements = -2.157 eV per atom; calculated density = 4.99 g/cm3; final energy = -47.4 eV/cell
1.0
1.713 -0.271 3.164
-4.872 2.437 2.846
-0.985 -6.739 -0.043
Sm Cl O
2 2 4
direct
0.750 0.857 0.176
0.250 0.143 0.824
0.750 0.254 0.535
0.250 0.746 0.465
0.250 0.538 0.981
0.750 0.462 0.019
0.250 0.068 0.143
0.750 0.932 0.857

- final energy of number 2 (SmClO2)?
  -47.4 eV/cell